# 1
Density functional theory data (PBE) for crystalline EuMgTl at its relaxed geometry.

Values from the calculation:
Crystal system: orthorhombic

Structure (extended XYZ):
```
12
Lattice="8.1729 0.0000 0.0000 0.0000 4.9596 0.0000 0.0000 0.0000 8.8305" Properties=species:S:1:pos:R:3 pbc="T T T"
Eu 0.0713 1.2399 1.6844
Eu 4.0151 3.7197 6.0997
Eu 4.1578 1.2399 2.7308
Eu 8.1016 3.7197 7.1460
Mg 1.3133 1.2399 5.0237
Mg 2.7731 3.7197 0.6084
Mg 5.3998 1.2399 8.2221
Mg 6.8596 3.7197 3.8068
Tl 1.7707 3.7197 3.4656
Tl 2.3157 1.2399 7.8809
Tl 5.8572 3.7197 0.9496
Tl 6.4022 1.2399 5.3649
```

# 2
Density functional theory data (PBE) for crystalline Eu2MgTl at its relaxed geometry.

Values from the calculation:
Crystal system: cubic

Structure (extended XYZ):
```
4
Lattice="0.0000 3.9938 3.9938 3.9938 0.0000 3.9938 3.9938 3.9938 0.0000" Properties=species:S:1:pos:R:3 pbc="T T T"
Eu 1.9969 1.9969 1.9969
Eu 5.9907 5.9907 5.9907
Mg 0.0000 0.0000 0.0000
Tl 3.9938 3.9938 3.9938
```

Number 1: energy of formation -0.306 eV/atom. Number 2: energy of formation -0.277 eV/atom.